# 1
Below is crystalline Er6CoTe2 at its relaxed geometry, with properties calculated at the meta-GGA r2SCAN level.

Results
spin magnetization: 1.88 Bohr magnetons per cell
space group: P-62m (189)
energy of formation from the pure elements: -0.71 eV/atom

a b c (Å): 8.2231 8.2231 3.9192
angles (deg): 90.00 90.00 120.00
Closest atoms and distances in Å follow each position.
Fractional coordinates of all 9 atoms:
Er: 0.0000 0.3958 0.0000  4 Te 3.20, 1 Co 3.25, 4 Er 3.45
Er: 0.0000 0.7659 0.5000  2 Co 2.75
Er: 0.2341 0.2341 0.5000  2 Co 2.75
Er: 0.3958 0.0000 0.0000  4 Te 3.20, 1 Co 3.25, 4 Er 3.45
Er: 0.6042 0.6042 0.0000  4 Te 3.20, 1 Co 3.25, 4 Er 3.45
Er: 0.7659 0.0000 0.5000  2 Co 2.75
Co: 0.0000 0.0000 0.0000  6 Er 2.75
Te: 0.3333 0.6667 0.5000  9 Er 3.20-3.23
Te: 0.6667 0.3333 0.5000  9 Er 3.20-3.23

# 2
Below is crystalline EuGa3Co2 at its relaxed geometry, with properties calculated at the meta-GGA r2SCAN level.

Results
spin magnetization: 13.80 Bohr magnetons per cell
space group: Cmcm (63)
energy of formation from the pure elements: -0.36 eV/atom

a b c (Å): 6.2390 6.2390 5.2126
angles (deg): 90.00 90.00 74.93
Closest atoms and distances in Å follow each position.
Fractional coordinates of all 12 atoms:
Eu: 0.1542 0.8458 0.7500  9 Ga 3.06-3.41
Eu: 0.8458 0.1542 0.2500  9 Ga 3.06-3.41
Ga: 0.0245 0.5813 0.2500  4 Co 2.36-2.48, 1 Ga 2.58
Ga: 0.4187 0.9755 0.2500  4 Co 2.36-2.48, 1 Ga 2.58
Ga: 0.4430 0.5570 0.2500  4 Co 2.41, 2 Ga 2.58
Ga: 0.5570 0.4430 0.7500  4 Co 2.41, 2 Ga 2.58
Ga: 0.5813 0.0245 0.7500  4 Co 2.36-2.48, 1 Ga 2.58
Ga: 0.9755 0.4187 0.7500  4 Co 2.36-2.48, 1 Ga 2.58
Co: 0.2997 0.2997 0.0000  6 Ga 2.36-2.48, 2 Co 2.61
Co: 0.2997 0.2997 0.5000  6 Ga 2.36-2.48, 2 Co 2.61
Co: 0.7003 0.7003 0.0000  6 Ga 2.36-2.48, 2 Co 2.61
Co: 0.7003 0.7003 0.5000  6 Ga 2.36-2.48, 2 Co 2.61

# 3
Below is crystalline EuCo2Ge2 at its relaxed geometry, with properties calculated at the meta-GGA r2SCAN level.

Results
spin magnetization: 13.90 Bohr magnetons per cell
space group: I4/mmm (139)
energy of formation from the pure elements: -0.44 eV/atom

a b c (Å): 3.9726 3.9726 10.5070
angles (deg): 90.00 90.00 90.00
Closest atoms and distances in Å follow each position.
Fractional coordinates of all 10 atoms:
Eu: 0.0000 0.0000 0.0000  8 Ge 3.15, 8 Co 3.29
Eu: 0.5000 0.5000 0.5000  8 Ge 3.15, 8 Co 3.29
Co: 0.0000 0.5000 0.2500  4 Ge 2.32
Co: 0.0000 0.5000 0.7500  4 Ge 2.32
Co: 0.5000 0.0000 0.2500  4 Ge 2.32
Co: 0.5000 0.0000 0.7500  4 Ge 2.32
Ge: 0.0000 0.0000 0.3638  4 Co 2.32
Ge: 0.0000 0.0000 0.6362  4 Co 2.32
Ge: 0.5000 0.5000 0.1362  4 Co 2.32
Ge: 0.5000 0.5000 0.8638  4 Co 2.32

# 4
Below is crystalline EuCoGe3 at its relaxed geometry, with properties calculated at the meta-GGA r2SCAN level.

Results
spin magnetization: 13.51 Bohr magnetons per cell
space group: I4mm (107)
energy of formation from the pure elements: -0.45 eV/atom

a b c (Å): 4.2886 4.2886 9.8585
angles (deg): 90.00 90.00 90.00
Closest atoms and distances in Å follow each position.
Fractional coordinates of all 10 atoms:
Eu: 0.0000 0.0000 0.0000  12 Ge 3.11-3.29, 5 Co 3.35-3.42
Eu: 0.5000 0.5000 0.5000  12 Ge 3.11-3.29, 5 Co 3.35-3.42
Co: 0.0000 0.0000 0.6602  5 Ge 2.27-2.33
Co: 0.5000 0.5000 0.1602  5 Ge 2.27-2.33
Ge: 0.0000 0.0000 0.4303  1 Co 2.27
Ge: 0.0000 0.5000 0.2535  2 Co 2.33
Ge: 0.0000 0.5000 0.7535  2 Co 2.33
Ge: 0.5000 0.0000 0.2535  2 Co 2.33
Ge: 0.5000 0.0000 0.7535  2 Co 2.33
Ge: 0.5000 0.5000 0.9303  1 Co 2.27

# 5
Below is crystalline EuCo2P2 at its relaxed geometry, with properties calculated at the meta-GGA r2SCAN level.

Results
spin magnetization: 16.47 Bohr magnetons per cell
space group: I4/mmm (139)
energy of formation from the pure elements: -0.91 eV/atom

a b c (Å): 3.7815 3.7815 10.8699
angles (deg): 90.00 90.00 90.00
Closest atoms and distances in Å follow each position.
Fractional coordinates of all 10 atoms:
Eu: 0.0000 0.0000 0.0000  8 P 3.12, 8 Co 3.31
Eu: 0.5000 0.5000 0.5000  8 P 3.12, 8 Co 3.31
Co: 0.0000 0.5000 0.2500  4 P 2.19
Co: 0.0000 0.5000 0.7500  4 P 2.19
Co: 0.5000 0.0000 0.2500  4 P 2.19
Co: 0.5000 0.0000 0.7500  4 P 2.19
P: 0.0000 0.0000 0.3521  4 Co 2.19
P: 0.0000 0.0000 0.6479  4 Co 2.19
P: 0.5000 0.5000 0.1479  4 Co 2.19
P: 0.5000 0.5000 0.8521  4 Co 2.19

# 6
Below is crystalline EuCo8P5 at its relaxed geometry, with properties calculated at the meta-GGA r2SCAN level.

Results
spin magnetization: 23.21 Bohr magnetons per cell
space group: Pmmn (59)
energy of formation from the pure elements: -0.62 eV/atom

a b c (Å): 3.5400 10.4157 9.1692
angles (deg): 90.00 90.00 90.00
Closest atoms and distances in Å follow each position.
Fractional coordinates of all 28 atoms:
Eu: 0.2500 0.2500 0.1751  8 P 3.03-3.08, 9 Co 3.03-3.32
Eu: 0.7500 0.7500 0.8249  8 P 3.03-3.08, 9 Co 3.03-3.32
Co: 0.2500 0.0072 0.8893  4 P 2.16-2.23
Co: 0.2500 0.0804 0.4818  4 P 2.13-2.23
Co: 0.2500 0.2500 0.8442  5 P 2.14-2.32
Co: 0.2500 0.4196 0.4818  4 P 2.13-2.23
Co: 0.2500 0.4928 0.8893  4 P 2.16-2.23
Co: 0.2500 0.6028 0.3023  1 P 2.21
Co: 0.2500 0.7500 0.5419  4 P 2.24-2.26, 4 Co 2.51
Co: 0.2500 0.8972 0.3023  1 P 2.21
Co: 0.7500 0.1028 0.6977  1 P 2.21
Co: 0.7500 0.2500 0.4581  4 P 2.24-2.26, 4 Co 2.51
Co: 0.7500 0.3972 0.6977  1 P 2.21
Co: 0.7500 0.5072 0.1107  4 P 2.16-2.23
Co: 0.7500 0.5804 0.5182  4 P 2.13-2.23
Co: 0.7500 0.7500 0.1558  5 P 2.14-2.32
Co: 0.7500 0.9196 0.5182  4 P 2.13-2.23
Co: 0.7500 0.9928 0.1107  4 P 2.16-2.23
P: 0.2500 0.2500 0.6107  5 Co 2.13-2.26
P: 0.2500 0.5626 0.6624  5 Co 2.20-2.24
P: 0.2500 0.6314 0.0639  6 Co 2.16-2.32
P: 0.2500 0.8686 0.0639  6 Co 2.16-2.32
P: 0.2500 0.9374 0.6624  5 Co 2.20-2.24
P: 0.7500 0.0626 0.3376  5 Co 2.20-2.24
P: 0.7500 0.1314 0.9361  6 Co 2.16-2.32
P: 0.7500 0.3686 0.9361  6 Co 2.16-2.32
P: 0.7500 0.4374 0.3376  5 Co 2.20-2.24
P: 0.7500 0.7500 0.3893  5 Co 2.13-2.26

# 7
Below is crystalline EuCo2Si2 at its relaxed geometry, with properties calculated at the meta-GGA r2SCAN level.

Results
spin magnetization: 13.97 Bohr magnetons per cell
space group: I4/mmm (139)
energy of formation from the pure elements: -0.57 eV/atom

a b c (Å): 3.8947 3.8947 10.1338
angles (deg): 90.00 90.00 90.00
Closest atoms and distances in Å follow each position.
Fractional coordinates of all 10 atoms:
Eu: 0.0000 0.0000 0.0000  8 Si 3.09, 8 Co 3.20
Eu: 0.5000 0.5000 0.5000  8 Si 3.09, 8 Co 3.20
Co: 0.0000 0.5000 0.2500  4 Si 2.26
Co: 0.0000 0.5000 0.7500  4 Si 2.26
Co: 0.5000 0.0000 0.2500  4 Si 2.26
Co: 0.5000 0.0000 0.7500  4 Si 2.26
Si: 0.0000 0.0000 0.3625  4 Co 2.26
Si: 0.0000 0.0000 0.6375  4 Co 2.26
Si: 0.5000 0.5000 0.1375  4 Co 2.26
Si: 0.5000 0.5000 0.8625  4 Co 2.26

# 8
Below is crystalline K3CoF6 at its relaxed geometry, with properties calculated at the meta-GGA r2SCAN level.

Results
spin magnetization: 0.00 Bohr magnetons per cell
space group: Fm-3m (225)
energy of formation from the pure elements: -2.72 eV/atom

a b c (Å): 6.0481 6.0481 6.0481
angles (deg): 60.00 60.00 60.00
Closest atoms and distances in Å follow each position.
Fractional coordinates of all 10 atoms:
K: 0.0000 0.0000 0.0000  6 F 2.44
K: 0.2500 0.2500 0.2500  12 F 3.04
K: 0.7500 0.7500 0.7500  12 F 3.04
Co: 0.5000 0.5000 0.5000  6 F 1.84
F: 0.2850 0.2850 0.7150  1 Co 1.84
F: 0.2850 0.7150 0.2850  1 Co 1.84
F: 0.2850 0.7150 0.7150  1 Co 1.84
F: 0.7150 0.2850 0.2850  1 Co 1.84
F: 0.7150 0.2850 0.7150  1 Co 1.84
F: 0.7150 0.7150 0.2850  1 Co 1.84